Entry 1:
# MgV2Rh2O8

A relaxed structure of MgV2Rh2O8 (GGA+U, the Materials Project).

abc: 6.0768 5.9471 6.0768
angles: 86.95 115.84 58.45
Closest atoms and distances in Å follow each position.
Sites, in units of the cell vectors:
Mg: 0.7717 0.0225 0.2058  4 O 1.93-2.07
V: 0.2751 0.2233 0.5016  5 O 1.87-2.04
V: 0.0017 0.0894 0.9090  5 O 1.77-1.98
Rh: 0.7371 0.7345 0.5285  6 O 2.02-2.08
Rh: 0.4824 0.5634 0.9542  4 O 2.00-2.10
O: 0.5863 0.2274 0.8170  2 V 1.98-2.04, 1 Mg 2.07, 1 Rh 2.10
O: 0.0354 0.7728 0.8134  1 V 1.93, 2 Rh 2.00-2.02
O: 0.0099 0.2949 0.6952  1 V 1.77
O: 0.4720 0.8449 0.6831  1 V 1.87, 1 Rh 2.05
O: 0.0055 0.6188 0.3757  1 V 1.87, 1 Mg 1.93, 1 Rh 2.05
O: 0.5035 0.1557 0.3408  1 V 1.92, 1 Mg 1.96, 1 Rh 2.04
O: 0.9556 0.2274 0.1863  2 V 1.98-2.04, 1 Mg 2.07, 1 Rh 2.10
O: 0.4138 0.7728 0.1918  1 V 1.93, 2 Rh 2.00-2.02

formation energy	-1.84	eV/atom
magnetic moment	0.0	Bohr magnetons per cell
distance to the lowest polymorph of the same formula	0	meV per atom

***

Entry 2:
# MgVSb4O12

A relaxed structure of MgVSb4O12 (GGA+U, the Materials Project).

abc: 5.5460 11.3529 10.1836
angles: 26.68 50.84 55.89
Closest atoms and distances in Å follow each position.
Sites, in units of the cell vectors:
Mg: 0.7909 0.5072 0.7731  5 O 2.03-2.17
V: 0.3069 0.9975 0.2824  6 O 1.96-2.17
Sb: 0.0158 0.9903 0.9878  6 O 1.96-2.15
Sb: 0.9248 0.4869 0.0512  5 O 1.91-2.10
Sb: 0.4377 0.0054 0.5304  4 O 1.92-2.09
Sb: 0.5051 0.5136 0.4656  6 O 1.97-2.10
O: 0.3523 0.2964 0.1186  2 Sb 2.10-2.17, 1 V 2.16, 1 Mg 2.17
O: 0.2414 0.1643 0.5890  2 Sb 1.92-1.99
O: 0.1087 0.3064 0.7581  1 Mg 2.03, 2 Sb 2.04-2.06
O: 0.8649 0.1972 0.2165  2 Sb 2.09, 1 V 2.17, 1 Mg 2.29
O: 0.3937 0.8033 0.0947  2 Sb 1.96-1.98
O: 0.7434 0.3357 0.4187  2 Sb 1.91-2.00
O: 0.2133 0.6639 0.5557  1 V 1.98, 1 Sb 2.05, 1 Mg 2.15
O: 0.5996 0.1961 0.8737  1 V 1.96, 2 Sb 2.10-2.15
O: 0.1147 0.8338 0.6860  2 Sb 2.00-2.08, 1 V 2.13
O: 0.8882 0.6975 0.2048  2 Sb 1.97-1.99
O: 0.7097 0.8572 0.3630  1 Sb 2.03, 1 Mg 2.04, 1 V 2.05
O: 0.6103 0.6592 0.8653  2 Sb 1.99-2.04, 1 Mg 2.15

formation energy	-2.00	eV/atom
magnetic moment	2.0	Bohr magnetons per cell
distance to the lowest polymorph of the same formula	0	meV per atom

***

Entry 3:
# Mg2VSbO6

A relaxed structure of Mg2VSbO6 (GGA+U, the Materials Project).

abc: 7.6393 5.2278 5.3829
angles: 88.71 90.00 90.00
Closest atoms and distances in Å follow each position.
Sites, in units of the cell vectors:
Mg: 0.7500 0.4796 0.5692  4 O 2.09-2.12
Mg: 0.2500 0.5204 0.4308  4 O 2.09-2.12
Mg: 0.7500 0.9869 0.0342  4 O 2.01-2.21
Mg: 0.2500 0.0131 0.9658  4 O 2.01-2.21
V: 0.5000 0.5000 0.0000  6 O 2.02-2.10
V: 0.0000 0.5000 0.0000  6 O 2.02-2.10
Sb: 0.5000 0.0000 0.5000  6 O 1.98-2.08
Sb: 0.0000 0.0000 0.5000  6 O 1.98-2.08
O: 0.4314 0.6790 0.6773  1 Sb 1.98, 1 V 2.02, 1 Mg 2.10
O: 0.0698 0.8310 0.1904  1 Sb 1.98, 1 Mg 2.05, 1 V 2.10
O: 0.9314 0.3210 0.3227  1 Sb 1.98, 1 V 2.02, 1 Mg 2.10
O: 0.5698 0.1690 0.8096  1 Sb 1.98, 1 Mg 2.05, 1 V 2.10
O: 0.4302 0.8310 0.1904  1 Sb 1.98, 1 Mg 2.05, 1 V 2.10
O: 0.9302 0.1690 0.8096  1 Sb 1.98, 1 Mg 2.05, 1 V 2.10
O: 0.2500 0.1388 0.5719  2 Sb 2.08, 2 Mg 2.12-2.21
O: 0.0686 0.6790 0.6773  1 Sb 1.98, 1 V 2.02, 1 Mg 2.10
O: 0.7500 0.6192 0.9303  2 Mg 2.01-2.09, 2 V 2.04
O: 0.5686 0.3210 0.3227  1 Sb 1.98, 1 V 2.02, 1 Mg 2.10
O: 0.7500 0.8612 0.4281  2 Sb 2.08, 2 Mg 2.12-2.21
O: 0.2500 0.3808 0.0697  2 Mg 2.01-2.09, 2 V 2.04

formation energy	-2.50	eV/atom
magnetic moment	4.0	Bohr magnetons per cell

***

Entry 4:
# MgV2Sb2O8

A relaxed structure of MgV2Sb2O8 (GGA+U, the Materials Project).

abc: 6.3085 6.0777 6.0848
angles: 115.11 94.93 117.89
Closest atoms and distances in Å follow each position.
Sites, in units of the cell vectors:
Mg: 0.0153 0.2380 0.7796  4 O 1.98-2.08
V: 0.0920 0.0071 0.0848  5 O 1.93-2.04
V: 0.7213 0.2554 0.4655  6 O 2.04-2.19
Sb: 0.6045 0.5352 0.0689  3 O 2.03-2.04
Sb: 0.2303 0.7423 0.4882  6 O 1.97-2.15
O: 0.8281 0.5151 0.3136  1 V 2.04, 2 Sb 2.04-2.12
O: 0.1760 0.4038 0.1599  1 Mg 2.02, 1 Sb 2.02, 1 V 2.03
O: 0.1752 0.0159 0.7723  1 Mg 2.02, 1 Sb 2.02, 1 V 2.03
O: 0.1381 0.4967 0.6400  1 Sb 1.97, 1 Mg 1.98, 1 V 2.19
O: 0.3178 0.0027 0.3155  2 V 1.93-2.10, 1 Sb 2.15
O: 0.8160 0.9776 0.2433  1 Sb 2.03, 2 V 2.03-2.05
O: 0.8174 0.5718 0.8391  1 Sb 2.03, 2 V 2.04-2.05
O: 0.6156 0.9884 0.6268  1 Sb 2.01, 1 Mg 2.08, 1 V 2.12

formation energy	-2.07	eV/atom
magnetic moment	2.0	Bohr magnetons per cell
distance to the lowest polymorph of the same formula	87	meV per atom

***

Entry 5:
# MgVSb4O12

A relaxed structure of MgVSb4O12 (GGA+U, the Materials Project).

abc: 5.7064 11.2214 9.9161
angles: 27.89 50.60 56.38
Closest atoms and distances in Å follow each position.
Sites, in units of the cell vectors:
Mg: 0.1551 0.4916 0.2210  4 O 1.99-2.06
V: 0.3166 0.0116 0.2701  5 O 1.93-2.09
Sb: 0.0153 0.9983 0.9803  5 O 1.96-2.06
Sb: 0.9577 0.4968 0.9969  6 O 2.02-2.11
Sb: 0.5107 0.9894 0.4950  6 O 2.02-2.14
Sb: 0.4621 0.5121 0.4795  6 O 1.97-2.12
O: 0.3231 0.2770 0.1492  1 V 2.02, 2 Sb 2.11-2.14
O: 0.2541 0.1363 0.5932  1 Mg 1.99, 2 Sb 2.04
O: 0.1143 0.3170 0.7253  2 Sb 1.98-1.99
O: 0.8925 0.1728 0.2338  2 Sb 2.02-2.04, 1 V 2.09
O: 0.3662 0.8127 0.1032  2 Sb 1.96-1.97
O: 0.7751 0.3948 0.3448  2 Sb 2.02-2.05, 1 Mg 2.06
O: 0.2059 0.6594 0.5840  1 V 2.06, 2 Sb 2.09-2.10
O: 0.5896 0.1949 0.8686  1 V 1.93, 1 Sb 2.12
O: 0.1422 0.8016 0.7216  2 Sb 2.02-2.11, 1 V 2.21
O: 0.8548 0.6986 0.2237  1 Mg 1.99, 2 Sb 2.06-2.10
O: 0.7033 0.8906 0.3410  2 Sb 2.02-2.07, 1 V 2.04
O: 0.5755 0.6562 0.9032  1 Mg 2.03, 2 Sb 2.03

formation energy	-1.91	eV/atom
magnetic moment	0.4	Bohr magnetons per cell
distance to the lowest polymorph of the same formula	82	meV per atom

***

Entry 6:
# MgV2Sb2O8

A relaxed structure of MgV2Sb2O8 (GGA+U, the Materials Project).

abc: 6.0856 6.0768 5.9844
angles: 98.47 112.35 117.77
Closest atoms and distances in Å follow each position.
Sites, in units of the cell vectors:
Mg: 0.9904 0.4925 0.0039  6 O 2.02-2.20
V: 0.9981 0.9962 0.0069  6 O 2.01-2.17
V: 0.7296 0.1613 0.4160  5 O 1.94-2.17
Sb: 0.4869 0.4895 0.0056  6 O 2.00-2.07
Sb: 0.2772 0.8291 0.5883  4 O 2.06-2.30
O: 0.7790 0.4216 0.2319  1 V 2.03, 1 Sb 2.05, 1 Mg 2.17
O: 0.2695 0.4011 0.1963  1 Sb 2.00, 1 V 2.01, 1 Mg 2.02
O: 0.2218 0.0802 0.7965  2 Sb 2.04-2.06, 1 V 2.13
O: 0.1514 0.4927 0.7457  1 Sb 2.05, 1 Mg 2.12, 1 V 2.17
O: 0.2877 0.9313 0.2431  2 V 2.04-2.05, 1 Mg 2.20, 1 Sb 2.26
O: 0.7499 0.9067 0.2020  2 V 1.94-2.17, 1 Sb 2.07
O: 0.7134 0.5892 0.8232  1 Sb 2.00, 1 Mg 2.02, 1 V 2.02
O: 0.7260 0.0776 0.7407  2 V 2.09-2.12, 1 Sb 2.10, 1 Mg 2.13

formation energy	-2.16	eV/atom
magnetic moment	2.0	Bohr magnetons per cell
distance to the lowest polymorph of the same formula	0	meV per atom

***

Entry 7:
# MgVSb4O12

A relaxed structure of MgVSb4O12 (GGA+U, the Materials Project).

abc: 5.5978 11.2551 9.9510
angles: 27.89 50.94 56.40
Closest atoms and distances in Å follow each position.
Sites, in units of the cell vectors:
Mg: 0.6919 0.5030 0.6849  5 O 2.03-2.19
V: 0.2942 0.9984 0.2852  6 O 2.03-2.12
Sb: 0.0181 0.0029 0.9651  6 O 1.95-2.16
Sb: 0.9498 0.4968 0.0088  6 O 1.95-2.17
Sb: 0.4837 0.9877 0.5159  4 O 1.95-2.08
Sb: 0.4869 0.5118 0.4615  6 O 1.96-2.18
O: 0.3548 0.2882 0.1181  1 Mg 2.09, 1 V 2.11, 2 Sb 2.13-2.21
O: 0.2353 0.1357 0.5984  2 Sb 1.95
O: 0.0982 0.3180 0.7402  1 Mg 2.03, 2 Sb 2.03-2.06
O: 0.8815 0.1754 0.2370  1 V 2.04, 2 Sb 2.04-2.07
O: 0.3654 0.8342 0.0992  2 Sb 1.96-1.97
O: 0.7415 0.3704 0.3693  2 Sb 1.95-1.96
O: 0.2496 0.6289 0.6107  1 V 2.04, 2 Sb 2.17-2.18
O: 0.6065 0.2073 0.8599  1 V 2.03, 2 Sb 2.15-2.17, 1 Mg 2.19
O: 0.1272 0.8271 0.6902  2 Sb 2.03-2.08, 1 V 2.08
O: 0.8406 0.6791 0.2728  2 Sb 2.02-2.05, 1 Mg 2.14
O: 0.7041 0.8819 0.3535  1 Mg 2.06, 1 V 2.12, 2 Sb 2.16-2.19
O: 0.5969 0.6591 0.8825  2 Sb 1.96-1.97

formation energy	-1.98	eV/atom
magnetic moment	1.6	Bohr magnetons per cell
distance to the lowest polymorph of the same formula	21	meV per atom

***

Entry 8:
# MgSc2V2O8

A relaxed structure of MgSc2V2O8 (GGA+U, the Materials Project).

abc: 5.8745 5.8745 6.1474
angles: 107.59 107.59 114.42
Closest atoms and distances in Å follow each position.
Sites, in units of the cell vectors:
Mg: 0.8637 0.1363 0.2500  4 O 1.91-1.96
Sc: 0.8476 0.1524 0.7500  6 O 2.16-2.22
Sc: 0.1665 0.8335 0.2500  6 O 2.11-2.28
V: 0.5851 0.4149 0.2500  2 O 1.75
V: 0.3882 0.6118 0.7500  4 O 1.80-1.84
O: 0.8001 0.7842 0.4727  1 V 1.75
O: 0.3948 0.8241 0.5818  1 V 1.84
O: 0.7537 0.7765 0.9902  1 V 1.80, 1 Mg 1.91
O: 0.8244 0.3746 0.0967  1 Mg 1.96, 1 V 1.97
O: 0.6254 0.1756 0.4033  1 Mg 1.96, 1 V 1.97
O: 0.2235 0.2463 0.5098  1 V 1.80, 1 Mg 1.91
O: 0.1759 0.6052 0.9182  1 V 1.84
O: 0.2158 0.1999 0.0273  1 V 1.75

formation energy	-2.93	eV/atom
magnetic moment	0.0	Bohr magnetons per cell
distance to the lowest polymorph of the same formula	168	meV per atom